[1]
Computed, not measured: a geometry-optimized TmFe5P3 structure at the PBE level of DFT.

* energy of formation from the pure elements: -0.751 eV/atom
* crystal system: orthorhombic
* uncorrected energy: -0.57024 Ry/atom
* magnetic moment: 1.47 μB/f.u.

Lattice parameters (Å, degrees): 11.7424 3.6307 10.2245 90.00 90.00 90.00
Positions (direct):
Tm 0.2048 0.2500 0.0813
Tm 0.2952 0.7500 0.5813
Tm 0.7048 0.2500 0.4187
Tm 0.7952 0.7500 0.9187
Fe 0.0101 0.7500 0.0945
Fe 0.0124 0.7500 0.7069
Fe 0.0672 0.7500 0.4633
Fe 0.1763 0.2500 0.7806
Fe 0.2001 0.2500 0.3773
Fe 0.2999 0.7500 0.8773
Fe 0.3237 0.7500 0.2806
Fe 0.4328 0.2500 0.9633
Fe 0.4876 0.2500 0.2069
Fe 0.4899 0.2500 0.5945
Fe 0.5101 0.7500 0.4055
Fe 0.5124 0.7500 0.7931
Fe 0.5672 0.7500 0.0367
Fe 0.6763 0.2500 0.7194
Fe 0.7001 0.2500 0.1227
Fe 0.7999 0.7500 0.6227
Fe 0.8237 0.7500 0.2194
Fe 0.9328 0.2500 0.5367
Fe 0.9876 0.2500 0.2931
Fe 0.9899 0.2500 0.9055
P 0.1054 0.7500 0.8992
P 0.1136 0.2500 0.5787
P 0.1295 0.7500 0.2658
P 0.3705 0.2500 0.7658
P 0.3864 0.7500 0.0787
P 0.3946 0.2500 0.3992
P 0.6054 0.7500 0.6008
P 0.6136 0.2500 0.9213
P 0.6295 0.7500 0.2342
P 0.8705 0.2500 0.7342
P 0.8864 0.7500 0.4213
P 0.8946 0.2500 0.1008

=====

[2]
Computed, not measured: a geometry-optimized Cu3O2 structure at the PBE level of DFT.

* energy of formation from the pure elements: -0.603 eV/atom
* crystal system: tetragonal
* uncorrected energy: -0.35040 Ry/atom
* magnetic moment: 0.00 μB/f.u.

Lattice parameters (Å, degrees): 4.6562 4.6562 4.6562 128.50 128.50 75.82
Positions (direct):
Cu 0.0000 0.0000 0.0000
Cu 0.2500 0.7500 0.5000
Cu 0.7500 0.2500 0.5000
O 0.0000 0.5000 0.5000
O 0.5000 0.0000 0.5000

=====

- The highest uncorrected energy belongs to which entry?
  Cu3O2